1.
The following is a PBE-GGA calculation of an optimized crystal structure of Sr2Sb3Pd3, from the Materials Project database.

Results
E_form ... 7.8 kcal/mol of atoms
Calculated total energy ... -3.575 eV per atom

Cell lengths 3.1726, 3.1726, 22.4514 Å; angles 90.00, 90.00, 90.00 degrees
Last column: nearest neighbours and their distance in Å.
Sites, in units of the cell vectors:
Pd (0.5000, 0.5000, 0.8846)  1 Sb 2.59, 1 Sr 2.85
Pd (0.5000, 0.5000, 0.1154)  1 Sb 2.59, 1 Sr 2.85
Pd (0.5000, 0.5000, 0.5000)  2 Sb 2.57
Sb (0.5000, 0.5000, 0.0000)  2 Pd 2.59
Sb (0.5000, 0.5000, 0.6145)  1 Pd 2.57
Sb (0.5000, 0.5000, 0.3855)  1 Pd 2.57
Sr (0.5000, 0.5000, 0.2422)  1 Pd 2.85, 4 Sr 3.17
Sr (0.5000, 0.5000, 0.7578)  1 Pd 2.85, 4 Sr 3.17

2.
The following is a PBE-GGA calculation of an optimized crystal structure of CeIn7Cu5, from the Materials Project database.

Results
E_form ... -1.7 kcal/mol of atoms
Calculated total energy ... -3.590 eV per atom

Cell lengths 7.3163, 7.3163, 7.3163 Å; angles 135.78, 98.30, 97.99 degrees
Last column: nearest neighbours and their distance in Å.
Sites, in units of the cell vectors:
In (0.3443, 0.3443, 0.0000)  4 Cu 2.98, 5 In 2.99-3.20, 1 Ce 3.31
In (0.6656, 0.6656, 0.0000)  6 Cu 2.80-2.94, 1 In 3.08
In (0.2238, 0.7238, 0.5000)  4 Cu 2.82, 6 In 2.96-3.16
In (0.1850, 0.4868, 0.6982)  5 Cu 2.72-2.91, 1 In 2.96
In (0.6707, 0.0129, 0.6578)  5 Cu 2.78-3.03, 3 In 3.02-3.09
In (0.7885, 0.4868, 0.3018)  5 Cu 2.72-2.91, 1 In 2.96
In (0.3551, 0.0129, 0.3422)  5 Cu 2.78-3.03, 3 In 3.02-3.09
Cu (0.5065, 0.9938, 0.0028)  3 Cu 2.70-2.81, 6 In 2.72-2.98
Cu (0.7725, 0.2725, 0.5000)  4 Cu 2.72, 6 In 2.80-2.94
Cu (0.9909, 0.5037, 0.9972)  3 Cu 2.70-2.81, 6 In 2.72-2.98
Cu (0.5065, 0.5037, 0.5128)  3 Cu 2.70-2.81, 6 In 2.72-2.98
Cu (0.9909, 0.9938, 0.4872)  3 Cu 2.70-2.81, 6 In 2.72-2.98
Ce (0.9996, 0.9996, 0.0000)  10 In 3.21-3.50, 2 Cu 3.51

3.
The following is a PBE-GGA calculation of an optimized crystal structure of Li3Ti2P3O12, from the Materials Project database.

Results
E_form ... -66.3 kcal/mol of atoms
E above lowest polymorph ... 0.003 eV/atom
Calculated total energy ... -7.320 eV per atom

Cell lengths 8.8308, 8.7993, 15.0379 Å; angles 54.50, 90.00, 90.00 degrees
Last column: nearest neighbours and their distance in Å.
Sites, in units of the cell vectors:
O (0.1650, 0.2623, 0.5707)  1 P 1.56
O (0.3433, 0.4502, 0.4159)  1 P 1.55
O (0.9154, 0.1770, 0.4711)  1 P 1.53
O (0.2275, 0.6609, 0.1869)  1 P 1.57
O (0.5846, 0.1770, 0.9711)  1 P 1.53
O (0.3924, 0.2198, 0.3507)  1 P 1.55
O (0.9798, 0.0841, 0.7660)  1 P 1.57
O (0.6650, 0.5177, 0.4232)  1 P 1.53
O (0.5929, 0.1014, 0.8319)  1 P 1.54
O (0.1289, 0.6155, 0.4294)  1 P 1.55
O (0.0929, 0.8986, 0.6681)  1 P 1.54
O (0.0110, 0.4158, 0.2824)  1 P 1.57
O (0.8711, 0.3845, 0.5706)  1 P 1.55
O (0.1650, 0.4823, 0.0768)  1 P 1.53
O (0.8924, 0.7802, 0.1493)  1 P 1.55
O (0.2603, 0.0145, 0.8160)  1 P 1.54
O (0.4438, 0.8686, 0.4635)  1 P 1.54
O (0.8350, 0.7377, 0.4293)  1 P 1.56
O (0.9890, 0.5842, 0.7176)  1 P 1.57
O (0.3711, 0.6155, 0.9294)  1 P 1.55
O (0.3350, 0.4823, 0.5768)  1 P 1.53
O (0.7725, 0.3391, 0.8131)  1 P 1.57
O (0.9071, 0.1014, 0.3319)  1 P 1.54
O (0.8350, 0.5177, 0.9232)  1 P 1.53
O (0.3350, 0.2623, 0.0707)  1 P 1.56
O (0.6650, 0.7377, 0.9293)  1 P 1.56
O (0.5562, 0.1314, 0.5365)  1 P 1.54
O (0.0846, 0.8230, 0.5289)  1 P 1.53
O (0.6289, 0.3845, 0.0706)  1 P 1.55
O (0.7603, 0.9855, 0.6840)  1 P 1.54
O (0.2725, 0.6609, 0.6869)  1 P 1.57
O (0.7397, 0.9855, 0.1840)  1 P 1.54
O (0.8433, 0.5498, 0.0841)  1 P 1.55
O (0.4154, 0.8230, 0.0289)  1 P 1.53
O (0.1076, 0.2198, 0.8507)  1 P 1.55
O (0.4798, 0.9159, 0.7340)  1 P 1.57
O (0.1567, 0.4502, 0.9159)  1 P 1.55
O (0.4890, 0.4158, 0.7824)  1 P 1.57
O (0.6567, 0.5498, 0.5841)  1 P 1.55
O (0.2397, 0.0145, 0.3160)  1 P 1.54
O (0.5110, 0.5842, 0.2176)  1 P 1.57
O (0.7275, 0.3391, 0.3131)  1 P 1.57
O (0.9438, 0.1314, 0.0365)  1 P 1.54
O (0.0202, 0.9159, 0.2340)  1 P 1.57
O (0.6076, 0.7802, 0.6493)  1 P 1.55
O (0.4071, 0.8986, 0.1681)  1 P 1.54
O (0.5202, 0.0841, 0.2660)  1 P 1.57
O (0.0562, 0.8686, 0.9635)  1 P 1.54
Li (0.4348, 0.6501, 0.7925)  4 O 1.98-2.21
Li (0.2750, 0.0321, 0.6790)  4 O 1.97-2.05
Li (0.7750, 0.9679, 0.8210)  4 O 1.97-2.05
Li (0.2299, 0.3838, 0.3203)  4 O 1.89-2.10
Li (0.9348, 0.3499, 0.7075)  4 O 1.98-2.21
Li (0.7701, 0.6162, 0.6797)  4 O 1.89-2.10
Li (0.7250, 0.9679, 0.3210)  4 O 1.97-2.05
Li (0.0652, 0.6501, 0.2925)  4 O 1.98-2.21
Li (0.5652, 0.3499, 0.2075)  4 O 1.98-2.21
Li (0.7299, 0.6162, 0.1797)  4 O 1.89-2.10
Li (0.2250, 0.0321, 0.1790)  4 O 1.97-2.05
Li (0.2701, 0.3838, 0.8203)  4 O 1.89-2.10
P (0.7550, 0.5439, 0.5003)  4 O 1.53-1.56
P (0.1087, 0.7443, 0.6495)  4 O 1.53-1.57
P (0.3951, 0.0421, 0.3518)  4 O 1.54-1.57
P (0.7450, 0.5439, 0.0003)  4 O 1.53-1.56
P (0.3913, 0.7443, 0.1495)  4 O 1.53-1.57
P (0.8951, 0.9579, 0.1482)  4 O 1.54-1.57
P (0.1049, 0.0421, 0.8518)  4 O 1.54-1.57
P (0.8913, 0.2557, 0.3505)  4 O 1.53-1.57
P (0.6049, 0.9579, 0.6482)  4 O 1.54-1.57
P (0.6087, 0.2557, 0.8505)  4 O 1.53-1.57
P (0.2450, 0.4561, 0.4997)  4 O 1.53-1.56
P (0.2550, 0.4561, 0.9997)  4 O 1.53-1.56
Ti (0.0411, 0.8653, 0.3892)  6 O 1.95-2.11
Ti (0.0407, 0.6328, 0.1079)  5 O 1.95-2.17
Ti (0.9593, 0.3672, 0.8921)  5 O 1.95-2.17
Ti (0.4589, 0.8653, 0.8892)  6 O 1.95-2.11
Ti (0.9589, 0.1347, 0.6108)  6 O 1.95-2.11
Ti (0.4593, 0.6328, 0.6079)  5 O 1.95-2.17
Ti (0.5407, 0.3672, 0.3921)  5 O 1.95-2.17
Ti (0.5411, 0.1347, 0.1108)  6 O 1.95-2.11